[1]
BiTe (PBE, relaxed); symmetry = Cmmm, No. 65; E_tot = -3.359 eV per atom
1.0
1.1641 3.5004 -0.2670
-2.2886 -1.1187 -2.6814
-3.9635 1.5275 2.7455
Bi Te
1 1
Cartesian
0.0000 0.0000 0.0000
-2.5440 1.9546 -0.1015

[2]
RuC4I2O4 (PBE, relaxed); symmetry = C2/c, No. 15; E_tot = -6.880 eV per atom
1.0
5.5728 3.6108 0.0000
-5.5728 3.6108 0.0000
0.0000 0.2352 12.8494
Ru C I O
2 8 4 8
Cartesian
5.3871 3.7872 9.6370
-5.3871 3.6696 3.2123
-0.0919 5.7757 10.7707
-4.1360 2.8256 2.0206
-0.0919 1.7987 8.5034
0.0919 5.6581 4.3460
0.0919 1.6811 2.0787
4.1360 4.6311 10.8288
-4.1360 4.5135 4.4041
4.1360 2.9432 8.4453
3.8054 2.4979 1.6030
-3.8054 4.9588 11.2464
-3.8054 2.6155 8.0277
3.8054 4.8412 4.8217
-3.4026 5.0197 5.1372
-0.0455 2.7561 7.8701
0.0455 2.6385 1.4454
3.4026 2.4370 7.7122
0.0455 4.7007 4.9793
-0.0455 4.8183 11.4039
-3.4026 2.3194 1.2875
3.4026 5.1373 11.5619

[3]
ScCu (PBE, relaxed); symmetry = Pm-3m, No. 221; E_tot = -5.497 eV per atom
1.0
-0.9828 -1.9584 2.4076
3.1014 -0.5277 0.8368
-0.1132 2.5463 2.0251
Sc Cu
1 1
Cartesian
1.0027 0.0301 2.6347
0.0000 0.0000 0.0000

[4]
Th5Pb4 (PBE, relaxed); symmetry = P6_3/mcm, No. 193; E_tot = -6.125 eV per atom
1.0
4.9142 -8.5116 0.0000
4.9142 8.5116 0.0000
0.0000 0.0000 6.6475
Th Pb
10 8
Cartesian
4.9142 -2.8372 3.3237
4.9142 2.8372 3.3237
4.9142 2.8372 0.0000
4.9142 -2.8372 0.0000
7.0353 0.0000 1.6619
1.3966 -2.4189 1.6619
1.3966 2.4189 1.6619
2.7931 0.0000 4.9856
3.5176 -6.0927 4.9856
3.5176 6.0927 4.9856
0.0000 0.0000 3.3237
0.0000 0.0000 0.0000
3.7126 0.0000 1.6619
3.0579 -5.2964 1.6619
3.0579 5.2964 1.6619
6.1158 0.0000 4.9856
1.8563 -3.2152 4.9856
1.8563 3.2152 4.9856

[5]
MgZr4O9 (PBE, relaxed); symmetry = C2/m, No. 12; E_tot = -8.919 eV per atom
1.0
1.7326 16.2612 0.0000
-1.7326 16.2612 0.0000
0.0000 0.1696 6.0736
Mg Zr O
2 8 18
Cartesian
0.0000 0.0848 3.0368
0.0000 16.2612 0.0000
0.0000 13.7799 4.1787
0.0000 29.3004 1.1405
0.0000 18.9121 1.8950
0.0000 6.7195 0.6752
0.0000 3.3917 4.9331
0.0000 25.9726 5.3984
0.0000 22.4849 3.6216
0.0000 10.2072 2.4520
0.0000 30.6040 2.7936
0.0000 16.8618 1.8015
0.0000 14.1481 0.4061
0.0000 3.4665 1.0128
0.0000 18.5440 5.6675
0.0000 23.8581 5.3394
0.0000 15.8303 4.2722
0.0000 20.3683 3.6180
0.0000 10.5766 4.6399
0.0000 2.0880 3.2800
0.0000 5.5258 5.0305
0.0000 7.0760 2.8569
0.0000 27.1663 1.0431
0.0000 25.6160 3.2168
0.0000 22.1154 1.4338
0.0000 12.3237 2.4557
0.0000 8.8340 0.7342
0.0000 29.2255 5.0608

What is the formula in the fourth record? Th5Pb4

Which of these has the lowest E_tot? MgZr4O9

Which of these has the lowest E_tot? MgZr4O9